Entry A
LiAlSiH2O5: relaxed, PBE-GGA.

Unit cell a=5.1203 b=7.9991 c=10.6157 alpha=90.00 beta=90.00 gamma=90.00
Last column: nearest neighbours and their distance in Å.
Element x y z (fractional)
Li (0.7648, 0.1576, 0.6855)  4 O 1.93-2.05
O (0.3872, 0.5126, 0.9468)  2 H 0.98-0.99
Al (0.7613, 0.9333, 0.1610)  4 O 1.77-1.78
Li (0.2648, 0.8424, 0.3145)  4 O 1.93-2.05
O (0.3111, 0.1773, 0.9808)  1 Si 1.64, 1 H 1.75, 1 Al 1.77
O (0.8712, 0.6903, 0.7895)  1 Si 1.65, 1 Al 1.78
H (0.8454, 0.0395, 0.4659)  1 O 0.98
O (0.8111, 0.8227, 0.0192)  1 Si 1.64, 1 H 1.75, 1 Al 1.77
O (0.9499, 0.3799, 0.6649)  1 Si 1.65, 1 Al 1.78
O (0.3712, 0.3097, 0.2105)  1 Si 1.65, 1 Al 1.78
O (0.9256, 0.0196, 0.8226)  1 Si 1.65, 1 Al 1.77
H (0.8618, 0.8895, 0.5533)  1 O 0.99
O (0.8872, 0.0126, 0.5532)  2 H 0.98-0.99
H (0.3618, 0.1105, 0.4467)  1 O 0.99
Si (0.2617, 0.3534, 0.6318)  4 O 1.64-1.65
O (0.4499, 0.6201, 0.3351)  1 Si 1.65, 1 Al 1.78
Si (0.7617, 0.8534, 0.8682)  4 O 1.64-1.65
Si (0.7617, 0.6466, 0.3682)  4 O 1.64-1.65
O (0.3712, 0.1903, 0.7105)  1 Si 1.65, 1 Al 1.78
Al (0.7613, 0.5667, 0.6610)  4 O 1.77-1.78
Al (0.2613, 0.4333, 0.3390)  4 O 1.77-1.78
O (0.9256, 0.4804, 0.3226)  1 Si 1.65, 1 Al 1.77
O (0.3872, 0.9874, 0.4468)  2 H 0.98-0.99
H (0.3618, 0.3895, 0.9467)  1 O 0.99
O (0.4499, 0.8799, 0.8351)  1 Si 1.65, 1 Al 1.78
O (0.8111, 0.6773, 0.5192)  1 Si 1.64, 1 H 1.75, 1 Al 1.77
Al (0.2613, 0.0667, 0.8390)  4 O 1.77-1.78
H (0.3454, 0.5395, 0.0341)  1 O 0.98
Li (0.7648, 0.3424, 0.1855)  4 O 1.93-2.05
O (0.3111, 0.3227, 0.4808)  1 Si 1.64, 1 H 1.75, 1 Al 1.77
O (0.9499, 0.1201, 0.1649)  1 Si 1.65, 1 Al 1.78
O (0.8872, 0.4874, 0.0532)  2 H 0.98-0.99
H (0.8454, 0.4605, 0.9659)  1 O 0.98
H (0.3454, 0.9605, 0.5341)  1 O 0.98
Si (0.2617, 0.1466, 0.1318)  4 O 1.64-1.65
O (0.8712, 0.8097, 0.2895)  1 Si 1.65, 1 Al 1.78
O (0.4256, 0.5196, 0.6774)  1 Si 1.65, 1 Al 1.77
H (0.8618, 0.6105, 0.0533)  1 O 0.99
O (0.4256, 0.9804, 0.1774)  1 Si 1.65, 1 Al 1.77
Li (0.2648, 0.6576, 0.8145)  4 O 1.93-2.05

---

Entry B
LiAlSiH2O5: relaxed, PBE-GGA.

Unit cell a=4.7966 b=9.0280 c=11.7445 alpha=90.00 beta=90.00 gamma=90.00
Last column: nearest neighbours and their distance in Å.
Element x y z (fractional)
O (0.3504, 0.3388, 0.4811)  1 Si 1.66, 1 Al 1.78, 1 H 1.79
O (0.3837, 0.0360, 0.4478)  2 H 0.99-1.00
O (0.7123, 0.7256, 0.8079)  1 O 1.57, 1 Si 1.70
O (0.5234, 0.4744, 0.6739)  1 Si 1.64, 1 Al 1.76
Al (0.3557, 0.0439, 0.8592)  3 O 1.76-1.80
Al (0.3557, 0.4561, 0.3592)  3 O 1.76-1.80
H (0.7095, 0.5108, 0.0098)  1 O 1.00
O (0.0234, 0.9744, 0.8261)  1 Si 1.64, 1 Al 1.76
O (0.8504, 0.8388, 0.0189)  1 Si 1.66, 1 Al 1.78, 1 H 1.79
Si (0.7683, 0.8810, 0.8859)  3 O 1.64-1.70
O (0.5234, 0.0256, 0.1739)  1 Si 1.64, 1 Al 1.76
H (0.8852, 0.8538, 0.5515)  1 O 0.99
H (0.8852, 0.6462, 0.0515)  1 O 0.99
H (0.3852, 0.1462, 0.4485)  1 O 0.99
O (0.3837, 0.4640, 0.9478)  2 H 0.99-1.00
Li (0.3798, 0.9125, 0.3098)  4 O 1.97-2.05
O (0.8504, 0.6612, 0.5189)  1 Si 1.66, 1 Al 1.78, 1 H 1.79
Al (0.8557, 0.5439, 0.6408)  3 O 1.76-1.80
H (0.3852, 0.3538, 0.9485)  1 O 0.99
O (0.3504, 0.1612, 0.9811)  1 Si 1.66, 1 Al 1.78, 1 H 1.79
Si (0.7683, 0.6190, 0.3859)  3 O 1.64-1.70
O (0.8837, 0.5360, 0.0522)  2 H 0.99-1.00
O (0.7123, 0.7744, 0.3079)  1 O 1.57, 1 Si 1.70
Li (0.8798, 0.4125, 0.1902)  4 O 1.97-2.05
H (0.2095, 0.0108, 0.4902)  1 O 1.00
O (0.4728, 0.3659, 0.2314)  1 O 1.57
O (0.2123, 0.2744, 0.1921)  1 O 1.57, 1 Si 1.70
Al (0.8557, 0.9561, 0.1408)  3 O 1.76-1.80
O (0.9728, 0.8659, 0.2686)  1 O 1.57
O (0.2123, 0.2256, 0.6921)  1 O 1.57, 1 Si 1.70
H (0.7095, 0.9892, 0.5098)  1 O 1.00
Si (0.2683, 0.1190, 0.1141)  3 O 1.64-1.70
O (0.4728, 0.1341, 0.7314)  1 O 1.57
Li (0.8798, 0.0875, 0.6902)  4 O 1.97-2.05
O (0.9728, 0.6341, 0.7686)  1 O 1.57
H (0.2095, 0.4892, 0.9902)  1 O 1.00
Si (0.2683, 0.3810, 0.6141)  3 O 1.64-1.70
O (0.8837, 0.9640, 0.5522)  2 H 0.99-1.00
O (0.0234, 0.5256, 0.3261)  1 Si 1.64, 1 Al 1.76
Li (0.3798, 0.5875, 0.8098)  4 O 1.97-2.05

---

We find entry A to be the most stable, with the next structure 611 meV per atom higher.

---

Entry A
TiCrAgS4: relaxed, PBE-GGA.

Unit cell a=6.1402 b=7.0362 c=12.0731 alpha=90.31 beta=90.34 gamma=91.15
Last column: nearest neighbours and their distance in Å.
Element x y z (fractional)
S (0.7829, 0.9949, 0.3276)  2 Cr 2.44-2.46, 1 Ag 2.53, 1 Ti 2.63
Ag (0.9189, 0.2455, 0.9055)  4 S 2.39-2.50
Cr (0.0246, 0.7353, 0.7553)  6 S 2.38-2.66
Ag (0.4266, 0.7360, 0.5874)  4 S 2.39-2.53
Cr (0.9754, 0.2647, 0.2447)  6 S 2.38-2.66
S (0.3076, 0.2482, 0.9139)  1 Cr 2.34, 2 Ti 2.37-2.46, 1 Ag 2.39
S (0.1847, 0.2502, 0.4108)  2 Cr 2.35-2.38, 1 Ti 2.37, 1 Ag 2.39
Ag (0.5734, 0.2640, 0.4126)  4 S 2.39-2.53
S (0.7865, 0.5253, 0.3277)  1 Cr 2.41, 1 Ti 2.46, 1 Ag 2.47
S (0.8153, 0.7498, 0.5892)  2 Cr 2.35-2.38, 1 Ti 2.37, 1 Ag 2.39
S (0.7189, 0.9684, 0.8256)  2 Ti 2.37-2.52, 1 Ag 2.47, 1 Cr 2.66
S (0.2135, 0.4747, 0.6723)  1 Cr 2.41, 1 Ti 2.46, 1 Ag 2.47
S (0.2878, 0.4879, 0.1749)  1 Ti 2.44, 1 Ag 2.48, 2 Cr 2.49-2.60
Cr (0.5000, 0.5000, 0.0000)  6 S 2.34-2.49
S (0.2171, 0.0051, 0.6724)  2 Cr 2.44-2.46, 1 Ag 2.53, 1 Ti 2.63
S (0.2692, 0.7433, 0.9114)  2 Cr 2.40-2.49, 1 Ag 2.50, 1 Ti 2.50
S (0.2273, 0.7611, 0.4072)  2 Ti 2.38-2.55, 1 Cr 2.47, 1 Ag 2.50
S (0.7308, 0.2567, 0.0886)  2 Cr 2.40-2.49, 1 Ag 2.50, 1 Ti 2.50
Ti (0.5000, 0.0000, 0.0000)  6 S 2.37-2.52
S (0.7727, 0.2389, 0.5928)  2 Ti 2.38-2.55, 1 Cr 2.47, 1 Ag 2.50
S (0.7122, 0.5121, 0.8251)  1 Ti 2.44, 1 Ag 2.48, 2 Cr 2.49-2.60
Ti (0.5334, 0.2284, 0.7471)  5 S 2.37-2.63
Ti (0.0000, 0.5000, 0.5000)  6 S 2.37-2.55
Ti (0.4666, 0.7716, 0.2529)  5 S 2.37-2.63
S (0.6924, 0.7518, 0.0861)  1 Cr 2.34, 2 Ti 2.37-2.46, 1 Ag 2.39
Cr (0.0000, 0.0000, 0.5000)  6 S 2.35-2.47
S (0.2811, 0.0316, 0.1744)  2 Ti 2.37-2.52, 1 Ag 2.47, 1 Cr 2.66
Ag (0.0811, 0.7545, 0.0945)  4 S 2.39-2.50

---

Entry B
TiCrAgS4: relaxed, PBE-GGA.

Unit cell a=6.4962 b=7.6036 c=13.0094 alpha=98.20 beta=94.21 gamma=90.09
Last column: nearest neighbours and their distance in Å.
Element x y z (fractional)
Ag (0.8830, 0.8047, 0.6958)  4 S 2.49-2.57
Ag (0.1073, 0.1823, 0.3024)  4 S 2.47-2.57
S (0.3322, 0.9478, 0.3651)  1 Cr 2.28, 1 Ti 2.28, 1 Ag 2.50
Ti (0.3626, 0.5534, 0.7161)  4 S 2.27-2.37
S (0.6821, 0.5203, 0.6515)  1 Cr 2.25, 1 Ti 2.30, 1 Ag 2.50
Ag (0.2591, 0.3635, 0.0010)  6 S 2.62-2.77
S (0.4290, 0.0709, 0.8905)  1 Cr 2.29, 2 Ti 2.44-2.52
S (0.1677, 0.2880, 0.6632)  2 Cr 2.31-2.33, 1 Ti 2.37
S (0.3190, 0.4671, 0.3423)  1 Cr 2.25, 1 Ti 2.30
S (0.7507, 0.2193, 0.3559)  2 Cr 2.21-2.24, 1 Ag 2.47
Ti (0.2381, 0.8998, 0.9975)  6 S 2.35-2.58
Cr (0.6342, 0.9477, 0.2864)  4 S 2.24-2.32
Ag (0.7516, 0.6358, 0.9992)  6 S 2.65-2.77
S (0.8079, 0.7056, 0.3391)  2 Cr 2.30-2.32, 1 Ti 2.36
Cr (0.6327, 0.4444, 0.2792)  4 S 2.19-2.30
S (0.9217, 0.8674, 0.8955)  2 Ti 2.36-2.37, 1 Ag 2.57
S (0.6735, 0.0599, 0.6447)  2 Cr 2.19-2.23
Cr (0.3688, 0.0570, 0.7134)  4 S 2.23-2.33
Cr (0.8409, 0.2991, 0.7221)  4 S 2.19-2.31
S (0.8751, 0.3296, 0.8926)  1 Cr 2.19
S (0.0876, 0.1349, 0.1026)  2 Ti 2.35-2.38, 2 Ag 2.57-2.62
Ti (0.7664, 0.1028, 0.0009)  6 S 2.37-2.59
S (0.2381, 0.7841, 0.6357)  1 Ti 2.29, 1 Cr 2.31, 1 Ag 2.49
Ti (0.1481, 0.7039, 0.2856)  4 S 2.25-2.36
S (0.3767, 0.6169, 0.8926)  1 Ti 2.27
S (0.1336, 0.6754, 0.1107)  1 Ti 2.25
S (0.5815, 0.9325, 0.1091)  1 Cr 2.29, 2 Ti 2.42-2.56
S (0.6310, 0.3857, 0.1091)  1 Cr 2.19

---

We find entry A to be the most stable, with the next structure 69 meV per atom higher.

---

Entry A
Mg6Si5: relaxed, PBE-GGA.

Unit cell a=4.0384 b=6.8266 c=15.2174 alpha=84.99 beta=90.00 gamma=90.00
Last column: nearest neighbours and their distance in Å.
Element x y z (fractional)
Mg (0.5000, 0.3846, 0.0609)  1 Si 2.60
Mg (0.5000, 0.3035, 0.5073)  4 Si 2.67-2.85
Mg (0.0000, 0.6493, 0.4200)  6 Si 2.75-2.86
Mg (0.0000, 0.1434, 0.9735)  1 Si 2.83, 6 Mg 2.99-3.16
Si (0.5000, 0.7800, 0.6953)  4 Si 2.38-2.51
Si (0.0000, 0.1377, 0.7877)  3 Si 2.53-2.78, 2 Mg 2.79
Mg (0.5000, 0.4181, 0.8367)  6 Si 2.92-3.13
Si (0.5000, 0.8457, 0.2841)  5 Si 2.48-2.76
Si (0.5000, 0.6740, 0.5504)  2 Si 2.38-2.39
Si (0.5000, 0.4765, 0.3311)  2 Si 2.38-2.56
Mg (0.0000, 0.1812, 0.3614)  7 Si 2.79-2.90
Mg (0.0000, 0.5752, 0.2001)  7 Si 2.88-3.09
Si (0.0000, 0.7302, 0.7862)  2 Si 2.45
Mg (0.0000, 0.6399, 0.9688)  1 Si 2.79, 4 Mg 2.94-3.04
Si (0.0000, 0.0139, 0.1975)  4 Si 2.60-2.62, 3 Mg 2.83-2.89
Si (0.5000, 0.2397, 0.2248)  3 Si 2.38-2.60, 1 Mg 2.60
Mg (0.5000, 0.8642, 0.0847)  3 Si 2.89-3.03, 7 Mg 3.16-3.23
Si (0.5000, 0.9403, 0.4375)  2 Si 2.39-2.48
Mg (0.5000, 0.9192, 0.8764)  5 Si 2.79-2.99, 4 Mg 3.00-3.04
Mg (0.0000, 0.9754, 0.5744)  8 Si 2.93-2.97, 2 Mg 3.12
Si (0.5000, 0.1482, 0.6877)  3 Si 2.51-2.53
Mg (0.0000, 0.4559, 0.6501)  8 Si 2.86-3.12, 2 Mg 3.21

---

Entry B
Mg6Si5: relaxed, PBE-GGA.

Unit cell a=4.1518 b=7.0682 c=14.0337 alpha=86.73 beta=90.00 gamma=90.00
Last column: nearest neighbours and their distance in Å.
Element x y z (fractional)
Mg (0.0000, 0.7712, 0.2843)  7 Si 2.69-3.00, 1 Mg 2.90
Si (0.5000, 0.6122, 0.4014)  3 Si 2.71-2.82, 6 Mg 2.84-3.01
Si (0.5000, 0.8109, 0.5700)  2 Si 2.50, 3 Mg 2.76-2.79
Mg (0.5000, 0.9601, 0.1264)  6 Si 2.86-3.03, 2 Mg 3.19
Si (0.0000, 0.7113, 0.8151)  1 Si 2.41, 2 Mg 2.66-2.67
Mg (0.5000, 0.6137, 0.9533)  5 Si 2.88-2.99, 4 Mg 3.16-3.21
Mg (0.5000, 0.0131, 0.7728)  7 Si 2.80-3.01
Mg (0.0000, 0.3268, 0.0591)  4 Si 2.64-2.73
Mg (0.5000, 0.5161, 0.7080)  5 Si 2.76-3.01, 2 Mg 3.02
Mg (0.5000, 0.4752, 0.2079)  8 Si 2.93-3.24, 4 Mg 3.17-3.18
Mg (0.0000, 0.3341, 0.8394)  4 Si 2.67-2.72
Si (0.0000, 0.6904, 0.0993)  7 Mg 2.66-2.95
Mg (0.0000, 0.9786, 0.4571)  6 Si 2.83-3.01, 4 Mg 2.90-3.14
Mg (0.0000, 0.5565, 0.5407)  7 Si 2.75-2.91, 2 Mg 3.06
Mg (0.5000, 0.2431, 0.5196)  7 Si 2.83-3.12, 4 Mg 2.96-3.06
Si (0.5000, 0.0638, 0.3215)  2 Si 2.51
Si (0.0000, 0.3777, 0.3694)  3 Si 2.44-2.71
Si (0.5000, 0.2071, 0.9512)  9 Mg 2.72-2.93
Mg (0.0000, 0.9513, 0.9542)  4 Si 2.66-2.75
Si (0.0000, 0.8791, 0.6607)  4 Si 2.41-2.50
Si (0.0000, 0.2302, 0.6572)  1 Si 2.48, 2 Mg 2.70-2.75
Si (0.0000, 0.1739, 0.2348)  3 Si 2.44-2.51, 1 Mg 2.64

---

Entry C
Mg6Si5: relaxed, PBE-GGA.

Unit cell a=5.5340 b=6.5340 c=12.2690 alpha=99.67 beta=100.45 gamma=89.50
Last column: nearest neighbours and their distance in Å.
Element x y z (fractional)
Mg (0.4648, 0.3342, 0.0905)  4 Si 2.74-2.88
Mg (0.4760, 0.3045, 0.6455)  5 Si 2.86-3.04, 1 Mg 3.16
Mg (0.0947, 0.9197, 0.9721)  3 Si 2.76-2.97, 2 Mg 3.06-3.08
Mg (0.6466, 0.8483, 0.0789)  3 Si 2.73-3.05, 1 Mg 3.04
Si (0.0291, 0.2005, 0.1584)  2 Si 2.45
Mg (0.3130, 0.4019, 0.3897)  6 Si 2.77-3.07
Si (0.9779, 0.7242, 0.4130)  2 Si 2.41
Mg (0.2115, 0.7895, 0.6484)  6 Si 2.71-2.98
Si (0.0263, 0.1384, 0.7756)  2 Si 2.42-2.47
Mg (0.1139, 0.6785, 0.2007)  5 Si 2.79-3.10, 2 Mg 3.04-3.13
Si (0.7751, 0.3009, 0.3015)  3 Si 2.45-2.52
Mg (0.5258, 0.0548, 0.8591)  3 Si 2.81-2.85, 2 Mg 3.08-3.10
Si (0.7403, 0.5771, 0.5284)  3 Si 2.41-2.49
Mg (0.3570, 0.5347, 0.8765)  2 Si 2.69-2.75
Si (0.6225, 0.6516, 0.2655)  2 Si 2.41-2.52
Mg (0.4243, 0.9108, 0.4380)  5 Si 2.71-3.01
Si (0.7473, 0.6711, 0.8050)  2 Si 2.46-2.57, 1 Mg 2.69
Si (0.6952, 0.9092, 0.6558)  3 Si 2.47-2.57
Mg (0.9346, 0.1420, 0.4965)  4 Si 2.76-3.02
Si (0.9949, 0.4453, 0.6882)  3 Si 2.42-2.47
Si (0.4161, 0.0574, 0.2413)  2 Si 2.45-2.48, 2 Mg 2.73
Mg (0.9061, 0.4054, 0.9680)  3 Si 2.86-2.88, 5 Mg 3.08-3.20

---

We find entry B to be the most stable, with the next structure 36 meV per atom higher.

---

Entry A
CdSnAs2: relaxed, PBE-GGA.

Unit cell a=4.3585 b=4.3585 c=6.1925 alpha=90.00 beta=90.00 gamma=90.00
Last column: nearest neighbours and their distance in Å.
Element x y z (fractional)
Sn (0.5000, 0.5000, 0.5000)  4 As 2.68
As (0.0000, 0.5000, 0.2482)  2 Cd 2.67, 2 Sn 2.68
Cd (0.0000, 0.0000, 0.0000)  4 As 2.67
As (0.5000, 0.0000, 0.7518)  2 Cd 2.67, 2 Sn 2.68

---

Entry B
CdSnAs2: relaxed, PBE-GGA.

Unit cell a=7.0463 b=7.0463 c=7.0463 alpha=33.38 beta=33.38 gamma=33.38
Last column: nearest neighbours and their distance in Å.
Element x y z (fractional)
Sn (0.0000, 0.0000, 0.0000)  6 As 2.86
As (0.2505, 0.2505, 0.2505)  3 Sn 2.86, 3 Cd 2.87
As (0.7495, 0.7495, 0.7495)  3 Sn 2.86, 3 Cd 2.87
Cd (0.5000, 0.5000, 0.5000)  6 As 2.87

---

We find entry A to be the most stable, with the next structure 116 meV per atom higher.